{
  "formula": "LaMgTaFeO6",
  "functional": "PBE with a Hubbard U",
  "state": "relaxed",
  "e_form_ev_per_atom": -3.054,
  "magnetic_moment_mub_per_cell": 0.0,
  "e_tot_ev_per_atom": -8.071,
  "lattice": [[-3.424, -4.216, -0.499], [0.725, -1.468, 7.864], [-4.345, 3.407, 1.039]],
  "species": ["Mg", "O", "O", "Mg", "O", "Fe", "O", "Ta", "O", "O", "O", "Ta", "O", "La", "O", "La", "O", "O", "O", "Fe"],
  "frac_coords": [[0.526, 0.257, 0.554], [0.147, 0.269, 0.465], [0.694, 0.439, 0.316], [0.026, 0.757, 0.946], [0.791, 0.425, 0.775], [0.499, 0.499, 0.004], [0.164, 0.571, 0.203], [0.003, 0.498, 0.510], [0.195, 0.939, 0.184], [0.291, 0.925, 0.725], [0.664, 0.071, 0.296], [0.503, 0.998, 0.990], [0.282, 0.557, 0.716], [0.992, 0.250, 0.049], [0.782, 0.058, 0.784], [0.492, 0.750, 0.451], [0.647, 0.769, 0.035], [0.402, 0.234, 0.933], [0.902, 0.734, 0.567], [0.999, 0.999, 0.496]]
}